(1)
A relaxed Cs2RbFeC6N6 crystal, computed with PBE.

Structure (POSCAR):
```
Cs2RbFeC6N6
1.0
7.8577 0.0000 0.0000
0.0000 8.3567 0.0000
-7.7671 0.0000 11.3891
Cs Rb Fe C N
4 2 2 12 12
Direct
0.2270 0.0702 0.2482 Cs
0.2270 0.4298 0.7482 Cs
0.7730 0.5702 0.2518 Cs
0.7730 0.9298 0.7518 Cs
0.0000 0.0000 0.5000 Rb
0.0000 0.5000 0.0000 Rb
0.5000 0.0000 0.0000 Fe
0.5000 0.5000 0.5000 Fe
0.2646 0.1190 0.9661 C
0.2646 0.3810 0.4661 C
0.3414 0.6931 0.4557 C
0.3414 0.8069 0.9557 C
0.4192 0.0277 0.8419 C
0.4192 0.4723 0.3419 C
0.5808 0.5277 0.6581 C
0.5808 0.9723 0.1581 C
0.6586 0.1931 0.0443 C
0.6586 0.3069 0.5443 C
0.7354 0.6190 0.5339 C
0.7354 0.8810 0.0339 C
0.1172 0.1905 0.9435 N
0.1172 0.3095 0.4435 N
0.2420 0.6890 0.9277 N
0.2420 0.8110 0.4277 N
0.3712 0.0478 0.7449 N
0.3712 0.4522 0.2449 N
0.6288 0.5478 0.7551 N
0.6288 0.9522 0.2551 N
0.7580 0.1890 0.5723 N
0.7580 0.3110 0.0723 N
0.8828 0.6905 0.5565 N
0.8828 0.8095 0.0565 N
```

## Properties
- energy relative to the elements (eV per atom) = -0.27
- SG = P2_1/c (14)
- crystal system = monoclinic
- raw total energy (eV/atom) = -7.42

(2)
A relaxed RbInTe3O8 crystal, computed with PBE.

Structure (POSCAR):
```
RbInTe3O8
1.0
5.8733 0.0000 0.0000
2.5892 7.3080 0.0000
0.1158 2.1720 11.1318
Rb In Te O
2 2 6 16
Direct
0.1609 0.1193 0.3331 Rb
0.8391 0.8807 0.6669 Rb
0.0000 0.5000 0.0000 In
0.5000 0.5000 0.5000 In
0.0698 0.3228 0.6496 Te
0.2222 0.0079 0.9188 Te
0.4835 0.5260 0.1647 Te
0.5165 0.4740 0.8353 Te
0.7778 0.9921 0.0812 Te
0.9302 0.6772 0.3504 Te
0.1124 0.9692 0.1039 O
0.1773 0.7359 0.4230 O
0.1861 0.2611 0.9167 O
0.2400 0.0674 0.7301 O
0.2487 0.6300 0.9073 O
0.2704 0.3210 0.5171 O
0.2698 0.3906 0.1548 O
0.3901 0.5737 0.6742 O
0.6099 0.4263 0.3258 O
0.7302 0.6094 0.8452 O
0.7296 0.6790 0.4829 O
0.7513 0.3700 0.0927 O
0.7600 0.9326 0.2699 O
0.8139 0.7389 0.0833 O
0.8227 0.2641 0.5770 O
0.8876 0.0308 0.8961 O
```

## Properties
- magnetization (μB per cell) = 0.01
- energy relative to the elements (eV per atom) = -1.72
- SG = P-1 (2)
- crystal system = triclinic
- raw total energy (eV/atom) = -5.35

(3)
A relaxed AlPS4 crystal, computed with PBE.

Structure (POSCAR):
```
AlPS4
1.0
6.4447 0.0000 0.0000
0.0000 6.4447 0.0000
0.0000 0.0000 9.0579
Al P S
2 2 8
Direct
0.0000 0.0000 0.0000 Al
0.0000 0.0000 0.5000 Al
0.0000 0.5000 0.0000 P
0.5000 0.0000 0.5000 P
0.2374 0.2688 0.0000 S
0.2374 0.7312 0.0000 S
0.2688 0.2374 0.5000 S
0.2688 0.7626 0.5000 S
0.7312 0.2374 0.5000 S
0.7312 0.7626 0.5000 S
0.7626 0.2688 0.0000 S
0.7626 0.7312 0.0000 S
```

## Properties
- magnetization (μB per cell) = 0.00
- energy relative to the elements (eV per atom) = -0.37
- SG = P4_2/mmc (131)
- crystal system = tetragonal
- raw total energy (eV/atom) = -4.32

(4)
A relaxed CaLa4Ti3RuO15 crystal, computed with PBE.

Structure (POSCAR):
```
CaLa4Ti3RuO15
1.0
5.5514 0.0000 0.0000
-2.7757 4.8076 0.0000
0.0000 0.0000 11.1171
Ca La Ti Ru O
1 4 3 1 15
Direct
0.0000 0.0000 0.0000 Ca
0.3333 0.6667 0.4228 La
0.3333 0.6667 0.7789 La
0.6667 0.3333 0.2172 La
0.6667 0.3333 0.5733 La
0.0000 0.0000 0.3179 Ti
0.0000 0.0000 0.6793 Ti
0.3333 0.6667 0.1016 Ti
0.6667 0.3333 0.8978 Ru
0.0023 0.5011 0.9999 O
0.1671 0.3342 0.2018 O
0.1671 0.8329 0.2018 O
0.1731 0.3463 0.6002 O
0.1731 0.8269 0.6002 O
0.3315 0.1658 0.7941 O
0.3468 0.1734 0.3957 O
0.4989 0.5011 0.9999 O
0.4989 0.9977 0.9999 O
0.6537 0.8269 0.6002 O
0.6658 0.8329 0.2018 O
0.8266 0.1734 0.3957 O
0.8266 0.6532 0.3957 O
0.8342 0.1658 0.7941 O
0.8342 0.6685 0.7941 O
```

## Properties
- magnetization (μB per cell) = 2.00
- energy relative to the elements (eV per atom) = -3.39
- SG = P3m1 (156)
- crystal system = trigonal
- raw total energy (eV/atom) = -8.33

(5)
A relaxed Tl4GeS4 crystal, computed with PBE.

Structure (POSCAR):
```
Tl4GeS4
1.0
6.5434 -5.8427 0.0000
6.5434 5.8427 0.0000
-3.1125 0.0000 7.1894
Tl Ge S
8 2 8
Direct
0.0026 0.9974 0.5000 Tl
0.1658 0.6160 0.0252 Tl
0.1922 0.4698 0.4911 Tl
0.4698 0.1922 0.9911 Tl
0.5667 0.7823 0.0616 Tl
0.6160 0.1658 0.5252 Tl
0.7823 0.5667 0.5616 Tl
0.9974 0.0026 0.0000 Tl
0.4036 0.8266 0.5439 Ge
0.8266 0.4036 0.0439 Ge
0.2510 0.8112 0.7224 S
0.2911 0.9982 0.3771 S
0.4379 0.5830 0.3564 S
0.5830 0.4379 0.8564 S
0.6416 0.9177 0.7331 S
0.8112 0.2510 0.2224 S
0.9177 0.6416 0.2331 S
0.9982 0.2911 0.8771 S
```

## Properties
- energy relative to the elements (eV per atom) = -0.64
- SG = Cc (9)
- crystal system = monoclinic
- raw total energy (eV/atom) = -3.82

(6)
A relaxed LiTiO2 crystal, computed with PBE.

Structure (POSCAR):
```
LiTiO2
1.0
2.9697 0.0000 0.0000
0.0000 2.9697 0.0000
0.0000 0.0000 3.9958
Li Ti O
1 1 2
Direct
0.0000 0.0000 0.0000 Li
0.5000 0.5000 0.5000 Ti
0.0000 0.0000 0.5000 O
0.5000 0.5000 0.0000 O
```

## Properties
- magnetization (μB per cell) = 0.00
- energy relative to the elements (eV per atom) = -2.95
- SG = P4/mmm (123)
- crystal system = tetragonal
- raw total energy (eV/atom) = -7.53

(7)
A relaxed NaCuN crystal, computed with PBE.

Structure (POSCAR):
```
NaCuN
1.0
3.3020 0.0000 0.0000
-1.6510 2.8596 0.0000
0.0000 0.0000 8.7557
Na Cu N
2 2 2
Direct
0.3333 0.6667 0.0000 Na
0.6667 0.3333 0.5000 Na
0.0000 0.0000 0.2642 Cu
0.0000 0.0000 0.7642 Cu
0.3333 0.6667 0.2892 N
0.6667 0.3333 0.7892 N
```

## Properties
- magnetization (μB per cell) = 0.00
- energy relative to the elements (eV per atom) = 0.18
- SG = P6_3mc (186)
- crystal system = hexagonal
- raw total energy (eV/atom) = -4.29
- polymorph energy (0 for the lowest one) (eV per atom) = 0.036

(8)
A relaxed CuC5O8 crystal, computed with PBE.

Structure (POSCAR):
```
CuC5O8
1.0
8.8800 0.0000 0.0000
0.0000 16.4950 0.0000
0.0000 0.0000 11.5683
Cu C O
8 40 64
Direct
0.0926 0.2001 0.1006 Cu
0.0926 0.2999 0.6006 Cu
0.4074 0.7001 0.1006 Cu
0.4074 0.7999 0.6006 Cu
0.5926 0.2001 0.3994 Cu
0.5926 0.2999 0.8994 Cu
0.9074 0.7001 0.3994 Cu
0.9074 0.7999 0.8994 Cu
0.0119 0.0400 0.6206 C
0.0119 0.4600 0.1206 C
0.0343 0.1295 0.6238 C
0.0343 0.3705 0.1238 C
0.1692 0.0023 0.6268 C
0.1692 0.4977 0.1268 C
0.1958 0.1463 0.6264 C
0.1958 0.3537 0.1264 C
0.2155 0.5708 0.6264 C
0.2155 0.9292 0.1264 C
0.2845 0.0708 0.6264 C
0.2845 0.4292 0.1264 C
0.3042 0.6463 0.6264 C
0.3042 0.8537 0.1264 C
0.3308 0.5023 0.6268 C
0.3308 0.9977 0.1268 C
0.4657 0.6295 0.6238 C
0.4657 0.8705 0.1238 C
0.4881 0.5400 0.6206 C
0.4881 0.9600 0.1206 C
0.5119 0.0400 0.8794 C
0.5119 0.4600 0.3794 C
0.5343 0.1295 0.8762 C
0.5343 0.3705 0.3762 C
0.6692 0.0023 0.8732 C
0.6692 0.4977 0.3732 C
0.6958 0.1463 0.8736 C
0.6958 0.3537 0.3736 C
0.7155 0.5708 0.8736 C
0.7155 0.9292 0.3736 C
0.7845 0.0708 0.8736 C
0.7845 0.4292 0.3736 C
0.8042 0.6463 0.8736 C
0.8042 0.8537 0.3736 C
0.8308 0.5023 0.8732 C
0.8308 0.9977 0.3732 C
0.9657 0.6295 0.8762 C
0.9657 0.8705 0.3762 C
0.9881 0.5400 0.8794 C
0.9881 0.9600 0.3794 C
0.0060 0.6128 0.3181 O
0.0060 0.8872 0.8181 O
0.0492 0.1660 0.2531 O
0.0492 0.3340 0.7531 O
0.0612 0.6846 0.8764 O
0.0612 0.8154 0.3764 O
0.0787 0.5622 0.6276 O
0.0787 0.9378 0.1276 O
0.0920 0.1958 0.9503 O
0.0920 0.3042 0.4503 O
0.1058 0.5022 0.8893 O
0.1058 0.9978 0.3893 O
0.1976 0.5700 0.1290 O
0.1976 0.9300 0.6290 O
0.2480 0.2173 0.6203 O
0.2480 0.2827 0.1203 O
0.2520 0.7173 0.6203 O
0.2520 0.7827 0.1203 O
0.3024 0.0700 0.1290 O
0.3024 0.4300 0.6290 O
0.3942 0.0022 0.8893 O
0.3942 0.4978 0.3893 O
0.4080 0.6958 0.9503 O
0.4080 0.8042 0.4503 O
0.4213 0.0622 0.6276 O
0.4213 0.4378 0.1276 O
0.4388 0.1846 0.8764 O
0.4388 0.3154 0.3764 O
0.4508 0.6660 0.2531 O
0.4508 0.8340 0.7531 O
0.4940 0.1128 0.3181 O
0.4940 0.3872 0.8181 O
0.5060 0.6128 0.1819 O
0.5060 0.8872 0.6819 O
0.5492 0.1660 0.2469 O
0.5492 0.3340 0.7469 O
0.5612 0.6846 0.6236 O
0.5612 0.8154 0.1236 O
0.5787 0.5622 0.8724 O
0.5787 0.9378 0.3724 O
0.5920 0.1958 0.5497 O
0.5920 0.3042 0.0497 O
0.6058 0.5022 0.6107 O
0.6058 0.9978 0.1107 O
0.6976 0.5700 0.3710 O
0.6976 0.9300 0.8710 O
0.7480 0.2173 0.8797 O
0.7480 0.2827 0.3797 O
0.7520 0.7173 0.8797 O
0.7520 0.7827 0.3797 O
0.8024 0.0700 0.3710 O
0.8024 0.4300 0.8710 O
0.8942 0.0022 0.6107 O
0.8942 0.4978 0.1107 O
0.9080 0.6958 0.5497 O
0.9080 0.8042 0.0497 O
0.9213 0.0622 0.8724 O
0.9213 0.4378 0.3724 O
0.9388 0.1846 0.6236 O
0.9388 0.3154 0.1236 O
0.9508 0.6660 0.2469 O
0.9508 0.8340 0.7469 O
0.9940 0.1128 0.1819 O
0.9940 0.3872 0.6819 O
```

## Properties
- magnetization (μB per cell) = 2.20
- energy relative to the elements (eV per atom) = -0.33
- SG = Pbca (61)
- crystal system = orthorhombic
- raw total energy (eV/atom) = -6.65

(9)
A relaxed NaBeO2 crystal, computed with PBE.

Structure (POSCAR):
```
NaBeO2
1.0
2.9627 -6.9840 0.0000
2.9627 6.9840 0.0000
-2.2219 0.0000 3.7912
Na Be O
4 4 8
Direct
0.0692 0.9308 0.7500 Na
0.1913 0.8087 0.2500 Na
0.8087 0.1913 0.7500 Na
0.9308 0.0692 0.2500 Na
0.3546 0.6454 0.7500 Be
0.4858 0.5142 0.2500 Be
0.5142 0.4858 0.7500 Be
0.6454 0.3546 0.2500 Be
0.0786 0.4965 0.4207 O
0.2722 0.4043 0.8657 O
0.4043 0.2722 0.3657 O
0.4965 0.0786 0.9207 O
0.5035 0.9214 0.0793 O
0.5957 0.7278 0.6343 O
0.7278 0.5957 0.1343 O
0.9214 0.5035 0.5793 O
```

## Properties
- magnetization (μB per cell) = 0.00
- energy relative to the elements (eV per atom) = -2.08
- SG = C2/c (15)
- crystal system = monoclinic
- raw total energy (eV/atom) = -5.59

(10)
A relaxed PaC crystal, computed with PBE.

Structure (POSCAR):
```
PaC
1.0
0.0000 2.5372 2.5372
2.5372 0.0000 2.5372
2.5372 2.5372 0.0000
Pa C
1 1
Direct
0.0000 0.0000 0.0000 Pa
0.5000 0.5000 0.5000 C
```

## Properties
- energy relative to the elements (eV per atom) = -0.44
- SG = Fm-3m (225)
- crystal system = cubic
- raw total energy (eV/atom) = -9.81

(11)
A relaxed NaCSN crystal, computed with PBE.

Structure (POSCAR):
```
NaCSN
1.0
13.6097 0.0000 0.0000
0.0000 4.1214 0.0000
0.0000 0.0000 5.6807
Na C S N
4 4 4 4
Direct
0.1039 0.2500 0.0673 Na
0.3961 0.7500 0.5673 Na
0.6039 0.2500 0.4327 Na
0.8961 0.7500 0.9327 Na
0.1165 0.7500 0.6309 C
0.3835 0.2500 0.1309 C
0.6165 0.7500 0.8691 C
0.8835 0.2500 0.3691 C
0.1845 0.7500 0.3948 S
0.3155 0.2500 0.8948 S
0.6845 0.7500 0.1052 S
0.8155 0.2500 0.6052 S
0.0679 0.7500 0.8052 N
0.4321 0.2500 0.3052 N
0.5679 0.7500 0.6948 N
0.9321 0.2500 0.1948 N
```

## Properties
- energy relative to the elements (eV per atom) = -0.58
- SG = Pnma (62)
- crystal system = orthorhombic
- raw total energy (eV/atom) = -6.12
- polymorph energy (0 for the lowest one) (eV per atom) = 0.000

(12)
A relaxed BaLiP crystal, computed with PBE.

Structure (POSCAR):
```
BaLiP
1.0
4.4335 0.0000 0.0000
-2.2167 3.8395 0.0000
0.0000 0.0000 4.5269
Ba Li P
1 1 1
Direct
0.0000 0.0000 0.0000 Ba
0.3333 0.6667 0.5000 Li
0.6667 0.3333 0.5000 P
```

## Properties
- magnetization (μB per cell) = 0.00
- energy relative to the elements (eV per atom) = -0.88
- SG = P-6m2 (187)
- crystal system = hexagonal
- largest piezoelectric modulus (C/m2) = 0.55
- raw total energy (eV/atom) = -3.96

(13)
A relaxed ScSn2 crystal, computed with PBE.

Structure (POSCAR):
```
ScSn2
1.0
-2.1410 2.1410 15.6572
2.1410 -2.1410 15.6572
2.1410 2.1410 -15.6572
Sc Sn
4 8
Direct
0.0484 0.2984 0.7500 Sc
0.2984 0.0484 0.2500 Sc
0.7016 0.9516 0.7500 Sc
0.9516 0.7016 0.2500 Sc
0.1250 0.8750 0.2500 Sn
0.2166 0.4666 0.7500 Sn
0.3750 0.6250 0.7500 Sn
0.4666 0.2166 0.2500 Sn
0.5334 0.7834 0.7500 Sn
0.6250 0.3750 0.2500 Sn
0.7834 0.5334 0.2500 Sn
0.8750 0.1250 0.7500 Sn
```

## Properties
- energy relative to the elements (eV per atom) = -0.47
- SG = I4_1/amd (141)
- crystal system = tetragonal
- raw total energy (eV/atom) = -5.25

(14)
A relaxed TiCrCuS4 crystal, computed with PBE.

Structure (POSCAR):
```
TiCrCuS4
1.0
-3.4793 3.5620 5.0019
3.4793 -3.5620 5.0019
3.4793 3.5620 -5.0019
Ti Cr Cu S
2 2 2 8
Direct
0.2372 0.2500 0.4872 Ti
0.2628 0.7500 0.0128 Ti
0.2500 0.2556 0.0056 Cr
0.7500 0.2444 0.4944 Cr
0.6253 0.8753 0.7500 Cu
0.8747 0.6247 0.2500 Cu
0.9996 0.4942 0.5104 S
0.0026 0.4916 0.9807 S
0.0109 0.0220 0.5193 S
0.0162 0.0058 0.0053 S
0.4838 0.4891 0.9896 S
0.4891 0.0084 0.0110 S
0.4974 0.4780 0.4890 S
0.5004 0.0109 0.4947 S
```

## Properties
- magnetization (μB per cell) = 5.99
- energy relative to the elements (eV per atom) = -1.19
- SG = I2_12_12_1 (24)
- crystal system = orthorhombic
- raw total energy (eV/atom) = -6.36
- polymorph energy (0 for the lowest one) (eV per atom) = 0.001